# meta-GGA r2SCAN LuH2, optimized geometry
data_LuH2
_chemical_formula_sum 'Lu4 H8'
_cell_length_a 4.989
_cell_length_b 4.989
_cell_length_c 4.989
_cell_angle_alpha 90.00
_cell_angle_beta 90.00
_cell_angle_gamma 90.00
_space_group_name_H-M_alt 'F m -3 m'
_space_group_IT_number 225
_space_group_name_Hall '-F 4 2 3'
loop_
_atom_site_label
_atom_site_fract_x
_atom_site_fract_y
_atom_site_fract_z
_atom_site_occupancy
Lu1 0.000 0.000 0.000 1
H1 0.250 0.250 0.250 1
# Calculated total energy ... -189.4 eV/cell
# ΔH_f (0 K) ... -0.786 eV/atom

***

# meta-GGA r2SCAN LuH3O3, optimized geometry
data_LuH3O3
_chemical_formula_sum 'Lu12 H36 O36'
_cell_length_a 11.4081
_cell_length_b 11.4081
_cell_length_c 7.0437
_cell_angle_alpha 90.00
_cell_angle_beta 90.00
_cell_angle_gamma 120.00
_space_group_name_H-M_alt 'R -3'
_space_group_IT_number 148
_space_group_name_Hall '-R 3'
loop_
_atom_site_label
_atom_site_fract_x
_atom_site_fract_y
_atom_site_fract_z
_atom_site_occupancy
Lu1 0.0000 0.0000 0.0000 1
Lu2 0.0000 0.5000 0.0000 1
H1 0.0368 0.2433 0.9160 1
H2 0.0921 0.8673 0.6817 1
O1 0.0032 0.8372 0.1670 1
O2 0.0500 0.7846 0.6021 1
# Calculated total energy ... -977.3 eV/cell
# ΔH_f (0 K) ... -2.154 eV/atom

***

# meta-GGA r2SCAN LuH3O3, optimized geometry
data_LuH3O3
_chemical_formula_sum 'Lu12 H36 O36'
_cell_length_a 11.4901
_cell_length_b 11.4901
_cell_length_c 6.9428
_cell_angle_alpha 90.00
_cell_angle_beta 90.00
_cell_angle_gamma 120.00
_space_group_name_H-M_alt 'R -3'
_space_group_IT_number 148
_space_group_name_Hall '-R 3'
loop_
_atom_site_label
_atom_site_fract_x
_atom_site_fract_y
_atom_site_fract_z
_atom_site_occupancy
Lu1 0.0000 0.0000 0.0000 1
Lu2 0.0000 0.5000 0.0000 1
H1 0.0241 0.5986 0.6457 1
H2 0.0771 0.8812 0.7386 1
O1 0.0050 0.1607 0.1806 1
O2 0.0538 0.2764 0.6060 1
# Calculated total energy ... -977.3 eV/cell
# ΔH_f (0 K) ... -2.154 eV/atom

***

- Among the records above, which one has the highest ΔH_f (0 K)?
  LuH2

***

- The highest calculated total energy belongs to which entry?
  LuH2

***

- Among the records above, which one has the highest calculated total energy?
  LuH2